# SrMg6W, optimized geometry, DFT PBE-GGA
# Distance to the lowest polymorph of the same formula = 0.000 eV/atom
# Formation energy = 0.3069 eV per atom
# DFT total energy = -21.79 eV/cell
data_SrMg6W
_cell_length_a 6.4896
_cell_length_b 6.4896
_cell_length_c 4.4165
_cell_angle_alpha 90.00
_cell_angle_beta 90.00
_cell_angle_gamma 90.00
_space_group_name_H-M_alt 'P 4/m m m'
_space_group_IT_number 123
_space_group_name_Hall '-P 4 2'
loop_
_atom_site_label
_atom_site_fract_x
_atom_site_fract_y
_atom_site_fract_z
Sr1 0.0000 0.0000 0.0000
Mg1 0.0000 0.5000 0.0000
Mg2 0.2826 0.2826 0.5000
W1 0.5000 0.5000 0.0000